# 1
Density functional theory data (PBE with a Hubbard U) for a geometry-optimized CaCo2O4 structure.

Lattice parameters (Å, degrees): 5.1880 5.1880 9.7848 90.00 90.00 145.04
Positions (direct):
O 0.7726 0.2274 0.1070
O 0.2274 0.7726 0.6070
O 0.5000 0.5000 0.5000
O 0.2274 0.7726 0.8930
O 0.9324 0.0676 0.7500
O 0.0676 0.9324 0.2500
O 0.5000 0.5000 0.0000
O 0.7726 0.2274 0.3930
Ca 0.3925 0.6075 0.2500
Ca 0.6075 0.3925 0.7500
Co 0.1354 0.8646 0.4327
Co 0.8646 0.1354 0.9327
Co 0.1354 0.8646 0.0673
Co 0.8646 0.1354 0.5673

Results
The energy above the lowest structure with this stoichiometry comes out at 0.0892 eV per atom. As for the density: 4.88 g cm⁻³.


# 2
Density functional theory data (PBE with a Hubbard U) for a geometry-optimized CaCoO2 structure.

Lattice parameters (Å, degrees): 3.2454 8.0763 8.3208 97.86 91.64 91.64
Positions (direct):
Co 0.2959 0.2665 0.4230
Co 0.0692 0.5882 0.2865
Co 0.6846 0.7032 0.5961
Co 0.9391 0.3815 0.7291
Ca 0.7094 0.9334 0.3153
Ca 0.2784 0.7260 0.9386
Ca 0.2656 0.0363 0.7048
Ca 0.6855 0.2437 0.0810
O 0.7901 0.7051 0.1262
O 0.1828 0.7888 0.4723
O 0.4521 0.5252 0.7124
O 0.7638 0.8716 0.7977
O 0.2085 0.0980 0.2219
O 0.7985 0.1800 0.5465
O 0.1726 0.2620 0.8949
O 0.5528 0.4446 0.3124

Results
The energy above the lowest structure with this stoichiometry comes out at 0.0000 eV per atom. As for the density: 4.03 g cm⁻³.


# 3
Density functional theory data (PBE with a Hubbard U) for a geometry-optimized CaCo4O9 structure.

Lattice parameters (Å, degrees): 8.2688 8.2688 5.1952 90.00 90.00 90.00
Positions (direct):
O 0.2439 0.5723 0.0824
O 0.7102 0.8945 0.4479
O 0.7439 0.0723 0.9176
O 0.2102 0.3945 0.5521
O 0.6055 0.2102 0.4479
O 0.1055 0.7102 0.5521
O 0.4277 0.2439 0.9176
O 0.3945 0.7898 0.4479
O 0.9277 0.7439 0.0824
O 0.5723 0.7561 0.9176
O 0.7561 0.4277 0.0824
O 0.5000 0.5000 0.5000
O 0.2561 0.9277 0.9176
O 0.2898 0.1055 0.4479
O 0.0000 0.0000 0.5000
O 0.7898 0.6055 0.5521
O 0.0723 0.2561 0.0824
O 0.8945 0.2898 0.5521
Co 0.7856 0.0884 0.6082
Co 0.5884 0.7144 0.6082
Co 0.7144 0.4116 0.3918
Co 0.9116 0.7856 0.3918
Co 0.0884 0.2144 0.3918
Co 0.2144 0.9116 0.6082
Co 0.4116 0.2856 0.6082
Co 0.2856 0.5884 0.3918
Ca 0.0000 0.5000 0.8622
Ca 0.5000 0.0000 0.1378

Results
As for the density: 3.93 g cm⁻³. The total energy is -5.693 eV per atom.


# 4
Density functional theory data (PBE with a Hubbard U) for a geometry-optimized CaCoO2 structure.

Lattice parameters (Å, degrees): 3.0696 8.0276 8.6262 85.77 88.83 86.35
Positions (direct):
O 0.7022 0.8054 0.6354
O 0.1988 0.6750 0.0046
O 0.2978 0.1946 0.3646
O 0.8012 0.3250 0.9954
O 0.7549 0.5638 0.3181
O 0.6174 0.0833 0.7461
O 0.3826 0.9167 0.2539
O 0.2451 0.4362 0.6819
Ca 0.2308 0.7082 0.4542
Ca 0.2774 0.4160 0.1747
Ca 0.7226 0.5840 0.8253
Ca 0.7692 0.2918 0.5458
Co 0.3084 0.2485 0.8713
Co 0.1607 0.9422 0.6996
Co 0.6916 0.7515 0.1287
Co 0.8393 0.0578 0.3004

Results
The energy above the lowest structure with this stoichiometry comes out at 0.0864 eV per atom. As for the density: 4.11 g cm⁻³.


# 5
Density functional theory data (PBE with a Hubbard U) for a geometry-optimized Ca2Co2O5 structure.

Lattice parameters (Å, degrees): 8.5647 8.5647 8.5647 143.98 142.26 53.16
Positions (direct):
O 0.1340 0.6064 0.2404
O 0.7661 0.2149 0.9543
O 0.2339 0.1882 0.4488
O 0.7906 0.7835 0.8585
O 0.8660 0.1064 0.4724
O 0.2393 0.6882 0.9543
O 0.5750 0.5679 0.8585
O 0.2094 0.0679 0.9929
O 0.4250 0.2835 0.9929
O 0.7607 0.7149 0.4488
Co 0.8086 0.7404 0.0491
Co 0.0000 0.9492 0.9492
Co 0.1914 0.2404 0.9318
Co 0.5000 0.4492 0.9492
Ca 0.5879 0.0688 0.4355
Ca 0.1333 0.5688 0.4809
Ca 0.4121 0.8476 0.4809
Ca 0.8667 0.3476 0.4355

Results
The energy above the lowest structure with this stoichiometry comes out at 0.0144 eV per atom. As for the density: 4.11 g cm⁻³.


# 6
Density functional theory data (PBE with a Hubbard U) for a geometry-optimized CaCo2O4 structure.

Lattice parameters (Å, degrees): 6.3076 6.3076 6.3076 125.48 125.48 80.74
Positions (direct):
O 0.5601 0.4726 0.6368
O 0.9142 0.3267 0.1368
O 0.5274 0.1642 0.0875
O 0.2226 0.0858 0.4125
O 0.0767 0.4399 0.9125
O 0.6733 0.8101 0.5875
O 0.8358 0.9233 0.3632
O 0.1899 0.7774 0.8632
Co 0.8750 0.1250 0.7500
Co 0.8750 0.1250 0.2500
Co 0.8750 0.6250 0.7500
Co 0.3750 0.1250 0.2500
Ca 0.2500 0.7500 0.5000
Ca 0.5000 0.5000 0.0000

Results
The energy above the lowest structure with this stoichiometry comes out at 0.0201 eV per atom. As for the density: 4.59 g cm⁻³.


# 7
Density functional theory data (PBE with a Hubbard U) for a geometry-optimized CaCo2O4 structure.

Lattice parameters (Å, degrees): 6.3683 6.3683 6.3683 57.28 57.28 57.28
Positions (direct):
O 0.8790 0.8790 0.4305
O 0.3817 0.3817 0.3817
O 0.4305 0.8790 0.8790
O 0.8790 0.4305 0.8790
O 0.3690 0.3690 0.8418
O 0.8619 0.8619 0.8619
O 0.8418 0.3690 0.3690
O 0.3690 0.8418 0.3690
Co 0.6271 0.1213 0.6271
Co 0.2350 0.2350 0.2350
Co 0.6271 0.6271 0.1213
Co 0.1213 0.6271 0.6271
Ca 0.0017 0.0017 0.0017
Ca 0.6258 0.6258 0.6258

Results
The energy above the lowest structure with this stoichiometry comes out at 0.1625 eV per atom. As for the density: 4.31 g cm⁻³.


# 8
Density functional theory data (PBE with a Hubbard U) for a geometry-optimized Ca2Co2O5 structure.

Lattice parameters (Å, degrees): 3.7496 5.4278 10.2763 90.00 90.00 90.00
Positions (direct):
O 0.0000 0.9213 0.2896
O 0.0000 0.5787 0.7896
O 0.0000 0.5000 0.5000
O 0.5000 0.7877 0.6052
O 0.0000 0.0000 0.0000
O 0.0000 0.0787 0.7104
O 0.5000 0.2877 0.8948
O 0.0000 0.4213 0.2104
O 0.5000 0.2123 0.3948
O 0.5000 0.7123 0.1052
Ca 0.5000 0.3077 0.6314
Ca 0.5000 0.1923 0.1314
Ca 0.5000 0.8077 0.8686
Ca 0.5000 0.6923 0.3686
Co 0.0000 0.2224 0.3773
Co 0.0000 0.2776 0.8773
Co 0.0000 0.7776 0.6227
Co 0.0000 0.7224 0.1227

Results
The energy above the lowest structure with this stoichiometry comes out at 0.0760 eV per atom. As for the density: 4.41 g cm⁻³.


Question: density of number 2 (CaCoO2)?
Answer: 4.03 g cm⁻³


Question: What is the density in the eighth record?
Answer: 4.41 g cm⁻³


Question: Which value of density does entry 2 give?
Answer: 4.03 g cm⁻³